Entry from Materials Project: a relaxed structure of CeInRh (PBE).

Values from the calculation:
Its calculated density is 8.9 g/cm3. For the total energy, the calculation gives -6.052 eV/atom.

a b c (Å): 7.5773 7.5773 4.0265
angles (deg): 90.00 90.00 120.00
Fractional coordinates of all 9 atoms:
Ce: 0.4137 0.0000 0.5000
Ce: 0.0000 0.4137 0.5000
Ce: 0.5863 0.5863 0.5000
In: 0.7501 0.0000 0.0000
In: 0.0000 0.7501 0.0000
In: 0.2499 0.2499 0.0000
Rh: 0.3333 0.6667 0.0000
Rh: 0.6667 0.3333 0.0000
Rh: 0.0000 0.0000 0.5000

=====

Entry from Materials Project: a relaxed structure of BaCuReO5 (PBE).

Values from the calculation:
Its calculated density is 6.4 g/cm3. For the total energy, the calculation gives -6.775 eV/atom.

a b c (Å): 3.8149 3.8149 8.3182
angles (deg): 90.00 90.00 90.00
Fractional coordinates of all 8 atoms:
Ba: 0.0000 0.0000 0.0294
Cu: 0.5000 0.5000 0.2864
Re: 0.5000 0.5000 0.6803
O: 0.0000 0.5000 0.6673
O: 0.5000 0.0000 0.6673
O: 0.0000 0.5000 0.2454
O: 0.5000 0.0000 0.2454
O: 0.5000 0.5000 0.9031

=====

Entry from Materials Project: a relaxed structure of LiTmU2S3O2 (PBE).

Values from the calculation:
Its calculated density is 7.8 g/cm3. For the total energy, the calculation gives -7.787 eV/atom.

a b c (Å): 3.8556 3.8158 11.4983
angles (deg): 99.55 90.28 89.99
Fractional coordinates of all 9 atoms:
Li: 0.6266 0.4108 0.8207
Tm: 0.1280 0.0111 0.0218
U: 0.1287 0.2927 0.5848
U: 0.6255 0.6778 0.3548
S: 0.1240 0.1285 0.2565
S: 0.1267 0.8901 0.7798
S: 0.6277 0.5166 0.0328
O: 0.1281 0.7405 0.4802
O: 0.6276 0.2426 0.4841

=====

Entry from Materials Project: a relaxed structure of NaAlS2O19 (PBE).

Values from the calculation:
Its calculated density is 1.8 g/cm3. For the total energy, the calculation gives -4.931 eV/atom.

a b c (Å): 11.5550 11.5550 8.2975
angles (deg): 87.89 87.89 44.46
Fractional coordinates of all 46 atoms:
Na: 0.0000 0.0000 0.0000
Na: 0.0000 0.0000 0.5000
Al: 0.0000 0.5000 0.0000
Al: 0.5000 0.0000 0.5000
S: 0.1179 0.6286 0.5250
S: 0.3714 0.8821 0.9750
S: 0.8821 0.3714 0.4750
S: 0.6286 0.1179 0.0250
O: 0.2632 0.4609 0.5923
O: 0.5391 0.7368 0.9077
O: 0.7368 0.5391 0.4077
O: 0.4609 0.2632 0.0923
O: 0.0970 0.7542 0.6063
O: 0.2458 0.9030 0.8937
O: 0.9030 0.2458 0.3937
O: 0.7542 0.0970 0.1063
O: 0.9725 0.6551 0.5549
O: 0.3449 0.0275 0.9451
O: 0.0275 0.3449 0.4451
O: 0.6551 0.9725 0.0549
O: 0.1397 0.6344 0.3476
O: 0.3656 0.8603 0.1524
O: 0.8603 0.3656 0.6524
O: 0.6344 0.1397 0.8476
O: 0.0861 0.4561 0.1960
O: 0.5439 0.9139 0.3040
O: 0.9139 0.5439 0.8040
O: 0.4561 0.0861 0.6960
O: 0.0020 0.7177 0.9636
O: 0.2823 0.9980 0.5364
O: 0.9980 0.2823 0.0364
O: 0.7177 0.0020 0.4636
O: 0.2033 0.3722 0.9144
O: 0.6278 0.7967 0.5856
O: 0.7967 0.6278 0.0856
O: 0.3722 0.2033 0.4144
O: 0.1444 0.8556 0.2500
O: 0.8556 0.1444 0.7500
O: 0.1111 0.7148 0.9618
O: 0.2852 0.8889 0.5382
O: 0.8889 0.2852 0.0382
O: 0.7148 0.1111 0.4618
O: 0.4451 0.5250 0.0473
O: 0.4750 0.5549 0.4527
O: 0.5549 0.4750 0.9527
O: 0.5250 0.4451 0.5473

=====

Entry from Materials Project: a relaxed structure of IrBr6O2 (PBE).

Values from the calculation:
Its calculated density is 5.3 g/cm3. For the total energy, the calculation gives -2.380 eV/atom.

a b c (Å): 6.7843 6.7843 6.7843
angles (deg): 60.00 60.00 60.00
Fractional coordinates of all 9 atoms:
Ir: 0.0000 0.0000 0.0000
Br: 0.7464 0.7464 0.2536
Br: 0.2536 0.7464 0.2536
Br: 0.7464 0.2536 0.2536
Br: 0.2536 0.2536 0.7464
Br: 0.7464 0.2536 0.7464
Br: 0.2536 0.7464 0.7464
O: 0.7500 0.7500 0.7500
O: 0.2500 0.2500 0.2500

=====

Entry from Materials Project: a relaxed structure of Na2NbAlSiP2O12 (PBE).

Values from the calculation:
Its calculated density is 3.0 g/cm3. For the total energy, the calculation gives -7.325 eV/atom.

a b c (Å): 8.7466 8.7466 22.2293
angles (deg): 89.75 90.25 119.82
Fractional coordinates of all 114 atoms:
Na: 0.9937 0.6297 0.2465
Na: 0.3703 0.0063 0.7465
Na: 0.6606 0.9653 0.5830
Na: 0.0347 0.3394 0.0830
Na: 0.9734 0.6724 0.9163
Na: 0.3276 0.0266 0.4163
Na: 0.0004 0.9969 0.4946
Na: 0.0031 0.9996 0.9946
Na: 0.6688 0.3302 0.8279
Na: 0.6698 0.3312 0.3279
Na: 0.3495 0.6767 0.1610
Na: 0.3233 0.6505 0.6610
Nb: 0.0026 0.9998 0.6454
Nb: 0.0002 0.9974 0.1454
Nb: 0.6616 0.3304 0.9784
Nb: 0.6696 0.3384 0.4784
Nb: 0.3272 0.6586 0.3116
Nb: 0.3414 0.6728 0.8116
Al: 0.9914 0.9973 0.3538
Al: 0.0027 0.0086 0.8538
Al: 0.6700 0.3299 0.6862
Al: 0.6701 0.3300 0.1862
Al: 0.3305 0.6744 0.0199
Al: 0.3256 0.6695 0.5199
Si: 0.9848 0.2760 0.2523
Si: 0.7240 0.0152 0.7523
Si: 0.3796 0.0382 0.5848
Si: 0.9618 0.6204 0.0848
Si: 0.3234 0.9546 0.9179
Si: 0.0454 0.6766 0.4179
P: 0.2982 0.0149 0.2528
P: 0.7138 0.7090 0.2520
P: 0.2910 0.2862 0.7520
P: 0.9851 0.7018 0.7528
P: 0.9622 0.3465 0.5856
P: 0.6561 0.6123 0.5862
P: 0.6535 0.0378 0.0856
P: 0.3877 0.3439 0.0862
P: 0.6223 0.6766 0.9202
P: 0.0523 0.3728 0.9192
P: 0.6272 0.9477 0.4192
P: 0.3234 0.3777 0.4202
O: 0.2105 0.0320 0.3094
O: 0.8353 0.7948 0.3058
O: 0.9706 0.1579 0.3088
O: 0.2052 0.1647 0.8058
O: 0.9680 0.7895 0.8094
O: 0.8421 0.0294 0.8088
O: 0.7995 0.9741 0.6895
O: 0.1736 0.1997 0.6945
O: 0.0307 0.8294 0.6969
O: 0.8003 0.8264 0.1945
O: 0.0259 0.2005 0.1895
O: 0.1706 0.9693 0.1969
O: 0.8726 0.3683 0.6405
O: 0.5032 0.1336 0.6427
O: 0.6388 0.5007 0.6406
O: 0.8664 0.4968 0.1427
O: 0.6317 0.1274 0.1405
O: 0.4993 0.3612 0.1406
O: 0.4657 0.3054 0.0284
O: 0.8395 0.5334 0.0234
O: 0.6938 0.1602 0.0288
O: 0.4666 0.1605 0.5234
O: 0.6946 0.5343 0.5284
O: 0.8398 0.3062 0.5288
O: 0.5271 0.6927 0.9743
O: 0.1579 0.4569 0.9765
O: 0.2904 0.8231 0.9730
O: 0.5431 0.8421 0.4765
O: 0.3073 0.4729 0.4743
O: 0.1769 0.7096 0.4730
O: 0.1316 0.6395 0.3561
O: 0.5037 0.8650 0.3636
O: 0.3597 0.4923 0.3619
O: 0.1350 0.4963 0.8636
O: 0.3605 0.8684 0.8561
O: 0.5077 0.6403 0.8619
O: 0.0295 0.8511 0.4072
O: 0.8099 0.9717 0.4102
O: 0.1667 0.1922 0.4120
O: 0.0283 0.1901 0.9102
O: 0.1489 0.9705 0.9072
O: 0.8078 0.8333 0.9120
O: 0.9703 0.1705 0.5890
O: 0.1827 0.0202 0.5888
O: 0.8241 0.8023 0.5898
O: 0.9798 0.8173 0.0888
O: 0.8295 0.0297 0.0890
O: 0.1977 0.1759 0.0898
O: 0.6864 0.1776 0.7441
O: 0.4737 0.3074 0.7425
O: 0.8250 0.5230 0.7414
O: 0.6926 0.5263 0.2425
O: 0.8224 0.3136 0.2441
O: 0.4770 0.1750 0.2414
O: 0.6434 0.5075 0.9228
O: 0.8660 0.3616 0.9228
O: 0.5033 0.1488 0.9221
O: 0.6384 0.1340 0.4228
O: 0.4925 0.3566 0.4228
O: 0.8512 0.4967 0.4221
O: 0.3618 0.5024 0.0767
O: 0.1527 0.6345 0.0766
O: 0.4978 0.8549 0.0756
O: 0.3655 0.8473 0.5766
O: 0.4976 0.6382 0.5767
O: 0.1451 0.5022 0.5756
O: 0.3117 0.8417 0.2558
O: 0.5324 0.6982 0.2563
O: 0.1674 0.4795 0.2558
O: 0.3018 0.4676 0.7563
O: 0.1583 0.6883 0.7558
O: 0.5205 0.8326 0.7558

=====

Entry from Materials Project: a relaxed structure of MgCu2WS4 (PBE).

Values from the calculation:
Its calculated density is 4.2 g/cm3. For the total energy, the calculation gives -5.300 eV/atom.

a b c (Å): 5.4151 5.4174 7.3816
angles (deg): 110.97 111.69 90.50
Fractional coordinates of all 8 atoms:
Mg: 0.7377 0.7461 0.4836
Cu: 0.4940 0.9947 0.9885
Cu: 0.9939 0.4945 0.9882
W: 0.0145 0.0148 0.0294
S: 0.8467 0.8435 0.2060
S: 0.3625 0.3595 0.2062
S: 0.1011 0.6683 0.7693
S: 0.6639 0.1049 0.7688

=====

Entry from Materials Project: a relaxed structure of TbGdO3 (PBE).

Values from the calculation:
Its calculated density is 8.2 g/cm3. For the total energy, the calculation gives -10.144 eV/atom.

a b c (Å): 5.7844 6.0334 8.4904
angles (deg): 90.00 90.00 90.00
Fractional coordinates of all 20 atoms:
Tb: 0.5000 0.0000 0.0000
Tb: 0.5000 0.0000 0.5000
Tb: 0.0000 0.5000 0.0000
Tb: 0.0000 0.5000 0.5000
Gd: 0.9889 0.0482 0.2500
Gd: 0.4889 0.4518 0.7500
Gd: 0.5111 0.5482 0.2500
Gd: 0.0111 0.9518 0.7500
O: 0.6458 0.0799 0.7500
O: 0.1766 0.1802 0.5750
O: 0.1766 0.1802 0.9250
O: 0.6766 0.3198 0.4250
O: 0.6766 0.3198 0.0750
O: 0.1458 0.4201 0.2500
O: 0.8542 0.5799 0.7500
O: 0.3234 0.6802 0.5750
O: 0.3234 0.6802 0.9250
O: 0.8234 0.8198 0.0750
O: 0.8234 0.8198 0.4250
O: 0.3542 0.9201 0.2500

=====

Entry from Materials Project: a relaxed structure of Mg14CrC (PBE).

Values from the calculation:
Its calculated density is 2.0 g/cm3. For the total energy, the calculation gives -2.270 eV/atom.

a b c (Å): 6.3060 6.4447 9.6828
angles (deg): 90.00 90.00 120.73
Fractional coordinates of all 16 atoms:
Mg: 0.1777 0.3388 0.6250
Mg: 0.1712 0.8356 0.6250
Mg: 0.7389 0.3795 0.1250
Mg: 0.6600 0.3348 0.6250
Mg: 0.7389 0.8594 0.1250
Mg: 0.6600 0.8252 0.6250
Mg: 0.3179 0.1434 0.3370
Mg: 0.3179 0.1434 0.9130
Mg: 0.3179 0.6745 0.3370
Mg: 0.3179 0.6745 0.9130
Mg: 0.8345 0.1672 0.3769
Mg: 0.8345 0.1672 0.8731
Mg: 0.8375 0.6688 0.3671
Mg: 0.8375 0.6688 0.8829
Cr: 0.1732 0.3366 0.1250
C: 0.0647 0.7823 0.1250

=====

Entry from Materials Project: a relaxed structure of SeS7 (PBE).

Values from the calculation:
Its calculated density is 2.0 g/cm3. For the total energy, the calculation gives -4.030 eV/atom.

a b c (Å): 5.0888 9.6073 15.5612
angles (deg): 90.22 90.15 90.14
Fractional coordinates of all 24 atoms:
Se: 0.4888 0.1804 0.3870
Se: 0.5110 0.8195 0.3871
Se: 0.9895 0.3192 0.1135
S: 0.7209 0.2277 0.5060
S: 0.2794 0.7722 0.5056
S: 0.2210 0.2732 0.9947
S: 0.7881 0.7300 0.9993
S: 0.2702 0.3759 0.3563
S: 0.7307 0.6244 0.3559
S: 0.7704 0.1230 0.1430
S: 0.2214 0.8695 0.1400
S: 0.7204 0.6302 0.6407
S: 0.2794 0.3697 0.6403
S: 0.2204 0.8703 0.8604
S: 0.7793 0.1294 0.8594
S: 0.0110 0.6915 0.1087
S: 0.5070 0.8086 0.6134
S: 0.4935 0.1914 0.6133
S: 0.0098 0.6919 0.8902
S: 0.9937 0.3084 0.8869
S: 0.4995 0.4996 0.2780
S: 0.9964 0.9954 0.2199
S: 0.5002 0.5004 0.7189
S: 0.9979 0.9984 0.7815

=====

Entry from Materials Project: a relaxed structure of LiAgF4 (PBE).

Values from the calculation:
Its calculated density is 4.0 g/cm3. For the total energy, the calculation gives -3.739 eV/atom.

a b c (Å): 4.7271 4.7271 3.5764
angles (deg): 83.60 83.60 86.41
Fractional coordinates of all 6 atoms:
Li: 0.0000 0.0000 0.0000
Ag: 0.5000 0.5000 0.5000
F: 0.7086 0.7086 0.0587
F: 0.1959 0.8041 0.5000
F: 0.8041 0.1959 0.5000
F: 0.2914 0.2914 0.9413

=====

Entry from Materials Project: a relaxed structure of BaNdEuSbO6 (PBE).

Values from the calculation:
Its calculated density is 6.8 g/cm3. For the total energy, the calculation gives -7.638 eV/atom.

a b c (Å): 8.5865 8.6038 8.5800
angles (deg): 90.00 90.00 90.00
Fractional coordinates of all 40 atoms:
Ba: 0.0000 0.0000 0.0000
Ba: 0.5000 0.5000 0.5000
Ba: 0.5000 0.5000 0.0000
Ba: 0.0000 0.0000 0.5000
Nd: 0.7500 0.7500 0.7500
Nd: 0.2500 0.2500 0.7500
Nd: 0.2500 0.7500 0.2500
Nd: 0.7500 0.2500 0.2500
Eu: 0.0000 0.5000 0.5000
Eu: 0.5000 0.0000 0.5000
Eu: 0.5000 0.0000 0.0000
Eu: 0.0000 0.5000 0.0000
Sb: 0.2500 0.2500 0.2500
Sb: 0.7500 0.7500 0.2500
Sb: 0.7500 0.2500 0.7500
Sb: 0.2500 0.7500 0.7500
O: 0.0186 0.2226 0.2770
O: 0.9814 0.7774 0.2770
O: 0.9814 0.2226 0.7230
O: 0.0186 0.7774 0.7230
O: 0.2803 0.0190 0.2094
O: 0.2803 0.9810 0.7906
O: 0.7197 0.9810 0.2094
O: 0.7197 0.0190 0.7906
O: 0.2145 0.2876 0.0190
O: 0.7855 0.2876 0.9810
O: 0.2145 0.7124 0.9810
O: 0.7855 0.7124 0.0190
O: 0.4814 0.2774 0.2230
O: 0.5186 0.7226 0.2230
O: 0.5186 0.2774 0.7770
O: 0.4814 0.7226 0.7770
O: 0.2197 0.4810 0.2906
O: 0.2197 0.5190 0.7094
O: 0.7803 0.5190 0.2906
O: 0.7803 0.4810 0.7094
O: 0.2855 0.2124 0.4810
O: 0.7145 0.2124 0.5190
O: 0.2855 0.7876 0.5190
O: 0.7145 0.7876 0.4810

=====

Which formula does entry 10 have? SeS7

=====

Which of these has the lowest calculated density? NaAlS2O19

=====

What is the formula in the sixth record? Na2NbAlSiP2O12

=====

What is the calculated density in the sixth record? 3.0 g/cm3